NiRh2O4: optimized geometry, PBE+U.

```
NiRh2O4
1.0
-2.9839 2.9839 4.4727
2.9839 -2.9839 4.4727
2.9839 2.9839 -4.4727
Ni Rh O
2 4 8
Cartesian
2.9839 1.4920 1.1182
0.0000 1.4920 3.3545
0.0000 0.0000 0.0000
1.4920 1.4920 -2.2364
1.4920 -1.4920 2.2364
0.0000 2.9839 0.0000
2.9839 2.9257 -2.4031
1.4337 1.4920 -0.1668
1.5503 -1.4920 4.3059
2.9839 -0.0583 2.4031
0.0000 3.0422 2.0696
1.4337 4.4759 0.1668
1.5503 1.4920 4.6395
0.0000 0.0583 6.8758
```

Computed properties:
Relative energy among the computed polymorphs = 0.0 meV/atom
Formation energy = -1046 meV per atom
Total energy after the MP2020 corrections = -6.80 eV/atom
Space group = I4_1/amd

MgFe4H4O8: optimized geometry, PBE+U.

```
MgFe4H4O8
1.0
4.9193 0.0000 0.0000
0.0000 3.0453 0.0000
-0.0625 0.0000 10.9713
Mg Fe H O
1 4 4 8
Cartesian
0.0000 0.0000 0.0000
0.0869 0.0000 4.3750
2.5388 0.0000 9.7170
2.8427 1.5226 1.9868
4.1927 1.5226 6.9880
0.5392 1.5226 8.9079
0.7604 0.0000 2.0167
1.6293 0.0000 6.7054
2.3395 1.5226 4.3717
0.7107 0.0000 6.3547
0.9773 1.5226 9.7915
1.5114 0.0000 1.3453
1.5261 1.5226 3.7468
3.3450 0.0000 7.9780
3.5545 1.5226 0.0596
3.8762 1.5226 4.9095
4.0484 0.0000 2.4717
```

Computed properties:
Relative energy among the computed polymorphs = 38.4 meV/atom
Formation energy = -1541 meV per atom
Total energy after the MP2020 corrections = -6.75 eV/atom
Space group = Pm

LiLa4NiO8: optimized geometry, PBE+U.

```
LiLa4NiO8
1.0
2.6746 -6.4338 0.0000
2.6746 6.4338 0.0000
0.0000 0.0000 5.3544
Li La Ni O
1 4 1 8
Cartesian
0.0000 0.0000 0.0000
2.6746 4.6743 2.6772
2.6746 1.7708 0.0000
2.6746 -1.7708 0.0000
2.6746 -4.6743 2.6772
2.6746 0.0000 2.6772
2.6746 4.1115 0.0000
1.3610 0.0000 1.3741
1.3610 0.0000 3.9802
2.6746 2.2759 2.6772
2.6746 -2.2759 2.6772
3.9882 0.0000 1.3741
3.9882 0.0000 3.9802
2.6746 -4.1115 0.0000
```

Computed properties:
Formation energy = -3184 meV per atom
Total energy after the MP2020 corrections = -7.97 eV/atom
Space group = Cmmm

Mo5O14: optimized geometry, PBE+U.

```
Mo5O14
1.0
23.7590 0.0000 0.0000
0.0000 23.7590 0.0000
0.0000 0.0000 3.8408
Mo O
40 112
Cartesian
1.1365 8.0786 0.0000
1.7498 18.0224 0.0000
1.8372 21.7798 0.0000
1.9792 1.8372 0.0000
2.3468 14.2263 0.0000
3.7411 5.2414 0.0000
3.8009 10.7430 0.0000
4.7891 16.6686 0.0000
5.2414 20.0179 0.0000
5.7367 1.7498 0.0000
6.1428 13.6293 0.0000
6.6381 8.1384 0.0000
7.0904 4.7891 0.0000
8.0786 22.6226 0.0000
8.1384 17.1209 0.0000
9.5327 2.3468 0.0000
9.9003 13.7167 0.0000
10.0423 9.9003 0.0000
10.1297 6.1428 0.0000
10.7430 19.9581 0.0000
13.0160 3.8009 0.0000
13.6293 17.6162 0.0000
13.7167 13.8587 0.0000
13.8587 10.0423 0.0000
14.2263 21.4122 0.0000
15.6206 6.6381 0.0000
15.6804 1.1365 0.0000
16.6686 18.9699 0.0000
17.1209 15.6206 0.0000
17.6162 10.1297 0.0000
18.0224 22.0092 0.0000
18.5176 3.7411 0.0000
18.9699 7.0904 0.0000
19.9581 13.0160 0.0000
20.0179 18.5176 0.0000
21.4122 9.5327 0.0000
21.7798 21.9218 0.0000
21.9218 1.9792 0.0000
22.0092 5.7367 0.0000
22.6226 15.6804 0.0000
0.0882 17.2872 0.0000
0.1207 1.9336 0.0000
0.5321 14.5161 0.0000
1.0986 8.0216 1.9204
1.4596 19.8049 0.0000
1.8548 17.9580 1.9204
1.8912 21.6892 1.9204
1.9336 23.6383 0.0000
2.0698 1.8912 1.9204
2.3228 9.5567 0.0000
2.4264 14.3059 1.9204
2.5459 3.8364 0.0000
2.6366 12.4116 0.0000
2.6748 6.7241 0.0000
2.7456 16.2682 0.0000
3.8364 21.2131 0.0000
3.8579 10.7809 1.9204
3.8401 18.4332 0.0000
3.8894 5.2384 1.9204
3.9541 1.4596 0.0000
4.3887 14.6251 0.0000
4.7798 16.6593 1.9204
5.1554 9.2047 0.0000
5.2384 19.8696 1.9204
5.3258 3.8401 0.0000
5.4077 11.9677 0.0000
5.6014 6.2781 0.0000
5.8010 1.8548 1.9204
6.0785 13.7343 1.9204
6.2781 18.1576 0.0000
6.4718 0.0882 0.0000
6.5537 15.7196 0.0000
6.6411 7.9901 1.9204
6.7241 21.0842 0.0000
7.0997 4.7798 1.9204
7.4908 2.7456 0.0000
7.9254 13.3391 0.0000
7.9901 17.1179 1.9204
8.0395 6.5537 0.0000
8.0216 22.6604 1.9204
8.0431 9.3336 0.0000
9.1339 4.3887 0.0000
9.2047 18.6036 0.0000
9.2429 0.5321 0.0000
9.3336 15.7159 0.0000
9.4531 2.4264 1.9204
9.5567 21.4362 0.0000
9.8097 13.7707 1.9204
9.9460 11.7588 0.0000
9.9883 9.8097 1.9204
10.0247 6.0785 1.9204
10.4199 7.9254 0.0000
10.7809 19.9011 1.9204
11.3474 2.6366 0.0000
11.7588 13.8131 0.0000
11.7913 5.4077 0.0000
11.9677 18.3513 0.0000
12.0002 9.9460 0.0000
12.4116 21.1224 0.0000
12.9781 3.8579 1.9204
13.3391 15.8337 0.0000
13.7343 17.6806 1.9204
13.7707 13.9493 1.9204
13.8131 12.0002 0.0000
13.9493 9.9883 1.9204
14.2024 2.3228 0.0000
14.3059 21.3326 1.9204
14.4254 8.0431 0.0000
14.5161 23.2269 0.0000
14.5543 5.1554 0.0000
14.6251 19.3703 0.0000
15.7159 14.4254 0.0000
15.7374 1.0986 1.9204
15.7196 17.2054 0.0000
15.7690 6.6411 1.9204
15.8337 10.4199 0.0000
16.2682 21.0134 0.0000
16.6593 18.9792 1.9204
17.0349 2.6748 0.0000
17.1179 15.7690 1.9204
17.2054 8.0395 0.0000
17.2872 23.6708 0.0000
17.4810 5.6014 0.0000
17.6806 10.0247 1.9204
17.9580 21.9042 1.9204
18.1576 17.4810 0.0000
18.3513 11.7913 0.0000
18.4332 19.9190 0.0000
18.5206 3.8894 1.9204
18.6036 14.5543 0.0000
18.9792 7.0997 1.9204
19.3703 9.1339 0.0000
19.8049 22.2995 0.0000
19.8696 18.5206 1.9204
19.9190 5.3258 0.0000
19.9011 12.9781 1.9204
19.9226 2.5459 0.0000
21.0134 7.4908 0.0000
21.0842 17.0349 0.0000
21.1224 11.3474 0.0000
21.2131 19.9226 0.0000
21.3326 9.4531 1.9204
21.4362 14.2024 0.0000
21.6892 21.8678 1.9204
21.8255 0.1207 0.0000
21.8678 2.0698 1.9204
21.9042 5.8010 1.9204
22.2995 3.9541 0.0000
22.6604 15.7374 1.9204
23.2269 9.2429 0.0000
23.6383 21.8255 0.0000
23.6708 6.4718 0.0000
```

Computed properties:
Relative energy among the computed polymorphs = 11.9 meV/atom
Formation energy = -1923 meV per atom
Total energy after the MP2020 corrections = -8.42 eV/atom
Space group = P4/mbm

LuVO4: optimized geometry, PBE+U.

```
LuVO4
1.0
-3.5347 3.5347 3.1399
3.5347 -3.5347 3.1399
3.5347 3.5347 -3.1399
Lu V O
2 2 8
Cartesian
3.5347 1.7673 0.7850
0.0000 1.7673 2.3549
3.5347 -1.7673 2.3549
0.0000 5.3020 0.7850
3.5347 -0.4386 1.2342
3.5347 3.0961 -1.2342
1.3288 1.7673 0.3357
2.2059 -1.7673 3.4756
1.3288 5.3020 -0.3357
2.2059 1.7673 2.8041
0.0000 0.4386 4.3741
0.0000 3.9733 1.9057
```

Computed properties:
Relative energy among the computed polymorphs = 0.0 meV/atom
Formation energy = -3212 meV per atom
Total energy after the MP2020 corrections = -8.78 eV/atom
Space group = I4_1/amd

Er2Mo3H2Se2O17: optimized geometry, PBE+U.

```
Er2Mo3H2Se2O17
1.0
6.8302 0.0000 0.0000
0.0000 7.2871 0.0000
-2.3878 0.0000 14.1255
Er Mo H Se O
4 6 4 4 34
Cartesian
0.6526 1.8218 0.5864
0.7486 5.4654 5.3310
3.6937 1.8218 8.7945
3.7898 5.4654 13.5391
0.4716 0.0311 8.9991
0.4716 3.6124 8.9991
0.5548 5.4654 11.7643
3.8876 1.8218 2.3612
3.9708 3.6747 5.1264
3.9708 7.2560 5.1264
-0.3350 1.0446 12.1813
-0.3350 2.5990 12.1813
4.7774 4.6882 1.9442
4.7774 6.2425 1.9442
0.9222 1.8218 4.3854
1.6894 5.4654 1.6646
2.7529 1.8218 12.4609
3.5202 5.4654 9.7401
-1.2134 0.5455 9.1001
-1.2134 3.0981 9.1001
-1.1690 5.4654 12.2066
0.8796 4.1751 0.7830
0.8796 6.7556 0.7830
-0.7665 1.8218 12.6110
0.9004 5.4654 3.1802
0.5633 4.1367 7.3144
0.5633 6.7940 7.3144
0.2249 5.4654 9.5729
1.5624 1.8218 2.7966
0.7029 3.6634 11.1090
0.7029 7.2673 11.1090
1.7537 0.4357 5.0541
1.7537 3.2078 5.0541
1.3039 1.8218 8.8693
3.0689 1.8218 0.7937
1.3734 5.4654 13.3318
3.1384 5.4654 5.2562
2.6886 4.0793 9.0714
2.6886 6.8514 9.0714
3.7394 0.0198 3.0165
3.7394 3.6238 3.0165
2.8800 5.4654 11.3289
4.2175 1.8218 4.5526
3.8790 0.4931 6.8111
3.8790 3.1505 6.8111
3.5419 1.8218 10.9453
5.2089 5.4654 1.5145
3.5627 0.5315 13.3425
3.5627 3.1121 13.3425
5.6114 1.8218 1.9189
5.6557 4.1890 5.0254
5.6557 6.7417 5.0254
```

Computed properties:
Formation energy = -2159 meV per atom
Total energy after the MP2020 corrections = -7.53 eV/atom
Space group = P2_1/m

NaFePCO7: optimized geometry, PBE+U.

```
NaFePCO7
1.0
5.2818 0.0000 0.0000
0.0000 6.4481 0.0000
-0.3471 0.0000 9.2055
Na Fe P C O
2 2 2 2 14
Cartesian
1.1581 0.0000 2.3900
3.7766 3.2240 6.8156
0.8166 5.1091 7.8789
4.1181 1.8850 1.3267
1.1393 1.8273 8.5572
3.7954 5.0513 0.6483
1.2477 4.9702 5.3592
3.6870 1.7461 3.8463
0.0524 4.9957 5.8598
0.6686 1.7562 0.6705
0.7788 3.0715 7.7160
0.8560 0.5908 7.6867
1.4772 4.9717 4.1260
2.2760 5.1020 0.2752
2.1960 4.9545 6.2511
2.7387 1.7304 2.9545
2.6587 1.8780 8.9303
3.4575 1.7477 5.0795
4.0787 3.8149 1.5188
4.1559 6.2955 1.4895
4.2661 4.9802 8.5351
4.8823 1.7716 3.3457
```

Computed properties:
Formation energy = -2069 meV per atom
Total energy after the MP2020 corrections = -7.44 eV/atom
Space group = P2_1

Li4V2Cr3Sb3O16: optimized geometry, PBE+U.

```
Li4V2Cr3Sb3O16
1.0
6.0780 0.0000 0.0000
-2.9863 5.4009 0.0000
-0.0534 -0.1218 9.7332
Li V Cr Sb O
4 2 3 3 16
Cartesian
0.0000 0.0000 0.0000
-3.0008 5.3342 4.9608
0.1038 3.3526 3.9890
3.1090 1.5746 8.6521
0.1880 3.4305 9.6371
3.2372 1.5447 4.8593
0.0996 1.6334 7.0498
1.6267 4.2845 7.0206
4.6357 0.7722 2.1515
-1.3804 4.2875 7.0109
1.6642 0.7906 2.1741
3.1812 3.4497 2.1609
-2.9056 5.2073 7.9574
0.1094 -0.0063 3.1565
-1.2354 2.6497 8.2443
0.1619 1.6597 1.0912
-1.3673 4.5299 0.9920
1.5764 0.6284 5.9596
0.1135 3.3926 5.9841
0.1116 4.9691 8.2099
1.4422 2.6390 8.2093
1.7514 2.2623 3.5708
3.1471 -0.0009 3.3311
3.1507 1.5116 1.0127
1.6412 4.5210 0.9425
4.6569 0.6943 5.9997
3.1935 3.5090 5.9087
4.5337 2.2831 3.4945
```

Computed properties:
Formation energy = -2195 meV per atom
Total energy after the MP2020 corrections = -7.42 eV/atom
Space group = P1